No. 1
A geometry-optimized Cr3O8 structure. Source: Materials Project, functional PBE+U.

Cell: 5.8108 5.8108 10.2080 Å, 90.00 90.00 120.00°
Closest atoms and distances in Å follow each position.
Fractional positions:
O  0.0000  0.0000  0.8490  3 Cr 1.96
Cr  0.8330  0.6660  0.7501  6 O 1.87-1.96
Cr  0.6660  0.8330  0.2501  6 O 1.87-1.96
Cr  0.1670  0.8330  0.2501  6 O 1.87-1.96
O  0.4828  0.9656  0.3464  2 Cr 1.87
O  0.7001  0.8501  0.6553  2 Cr 1.87
O  0.8501  0.1499  0.1553  2 Cr 1.87
O  0.0000  0.0000  0.3490  3 Cr 1.96
O  0.0344  0.5172  0.3464  2 Cr 1.87
Cr  0.3340  0.1670  0.7501  6 O 1.87-1.96
O  0.2999  0.1499  0.1553  2 Cr 1.87
O  0.6667  0.3333  0.6510  3 Cr 1.96
O  0.9656  0.4828  0.8464  2 Cr 1.87
Cr  0.8330  0.1670  0.7501  6 O 1.87-1.96
O  0.4828  0.5172  0.3464  2 Cr 1.87
Cr  0.1670  0.3340  0.2501  6 O 1.87-1.96
O  0.5172  0.4828  0.8464  2 Cr 1.87
O  0.5172  0.0344  0.8464  2 Cr 1.87
O  0.8501  0.7001  0.1553  2 Cr 1.87
O  0.1499  0.8501  0.6553  2 Cr 1.87
O  0.3333  0.6667  0.1510  3 Cr 1.96
O  0.1499  0.2999  0.6553  2 Cr 1.87

Output
* energy: -6.51 eV per atom
* total moment: 4.0 μB/cell
* calculated volume: 298.5 Å³ per cell
* energy of formation from the pure elements: -1.322 eV/atom



No. 2
A geometry-optimized Cr2O3 structure. Source: Materials Project, functional PBE+U.

Cell: 10.1925 8.7089 10.3514 Å, 90.51 89.27 87.97°
Closest atoms and distances in Å follow each position.
Fractional positions:
Cr  0.4064  0.6135  0.4525  4 O 1.91-2.13
O  0.8077  0.8134  0.7348  3 Cr 1.84-2.00
Cr  0.5458  0.8380  0.9158  4 O 1.87-2.04
O  0.6789  0.1029  0.6802  4 Cr 1.97-2.11
Cr  0.4187  0.4579  0.7512  5 O 1.96-2.08
Cr  0.6788  0.8198  0.3333  4 O 1.89-1.99
O  0.3876  0.6826  0.8178  3 Cr 1.92-2.08
O  0.9124  0.6127  0.9255  4 Cr 2.01-2.07
O  0.1686  0.0475  0.4266  3 Cr 1.91-2.12
O  0.6364  0.6602  0.8559  3 Cr 1.86-2.00
Cr  0.1052  0.3135  0.1499  6 O 1.95-2.17
O  0.1790  0.0844  0.9215  4 Cr 2.02-2.20
O  0.2685  0.4558  0.8716  3 Cr 1.94-1.98
O  0.5028  0.7482  0.3384  3 Cr 1.92-1.95
O  0.6692  0.3388  0.4776  3 Cr 1.88-1.97
O  0.7508  0.0283  0.3182  3 Cr 1.99-2.09
Cr  0.8129  0.4309  0.3791  5 O 1.96-2.14
Cr  0.9696  0.7952  0.8245  6 O 1.91-2.11
Cr  0.2067  0.1433  0.7353  4 O 1.87-2.02
Cr  0.5992  0.1881  0.3570  4 O 1.96-2.08
Cr  0.1314  0.8127  0.4567  4 O 1.92-2.12
O  0.4466  0.0745  0.2354  4 Cr 2.05-2.26
O  0.9715  0.1466  0.1932  4 Cr 2.04-2.17
O  0.4692  0.1019  0.4771  3 Cr 1.96-2.00
O  0.3067  0.9678  0.6861  3 Cr 1.87-1.95
O  0.8238  0.2723  0.8193  4 Cr 1.96-2.06
O  0.0288  0.6218  0.4423  3 Cr 1.92-2.04
Cr  0.8388  0.6460  0.1112  6 O 1.99-2.20
O  0.0004  0.3215  0.9936  4 Cr 1.95-2.05
Cr  0.9844  0.1554  0.8629  6 O 1.96-2.15
O  0.0097  0.9985  0.7240  2 Cr 1.98-2.11
Cr  0.3738  0.8578  0.2358  5 O 1.93-2.05
Cr  0.4772  0.0613  0.6671  5 O 1.92-2.11
Cr  0.3159  0.1622  0.3752  4 O 1.91-2.08
Cr  0.7577  0.4951  0.8570  5 O 1.86-2.06
O  0.7284  0.4785  0.0470  4 Cr 1.97-2.01
O  0.1942  0.3416  0.3225  3 Cr 1.99-2.04
Cr  0.0962  0.9269  0.0489  4 O 1.89-2.10
O  0.9644  0.9178  0.4816  3 Cr 1.89-1.92
O  0.7081  0.8212  0.1064  2 Cr 1.93-1.99
Cr  0.9824  0.1002  0.3854  4 O 1.89-2.04
O  0.9231  0.2882  0.4855  3 Cr 1.99-2.17
O  0.9279  0.9627  0.9617  4 Cr 1.96-2.07
O  0.5114  0.5710  0.6046  3 Cr 1.95-2.05
Cr  0.6607  0.1709  0.8711  5 O 1.94-2.06
Cr  0.0237  0.4665  0.5890  4 O 2.04-2.17
Cr  0.7405  0.3103  0.6425  5 O 1.88-2.08
Cr  0.6545  0.7021  0.6675  6 O 1.84-2.05
O  0.2883  0.2762  0.0970  3 Cr 1.89-1.95
O  0.4019  0.8370  0.0470  4 Cr 1.98-2.14
O  0.4977  0.0668  0.9078  3 Cr 1.96-2.08
O  0.2251  0.9805  0.1693  3 Cr 1.89-1.98
Cr  0.8262  0.9559  0.6061  3 O 1.84-1.99
O  0.9425  0.4624  0.2175  5 Cr 2.00-2.20
Cr  0.5940  0.4934  0.1904  5 O 1.88-2.07
O  0.6002  0.3640  0.7849  4 Cr 1.99-2.14
Cr  0.8274  0.9849  0.1323  4 O 1.93-2.09
O  0.2553  0.6958  0.3120  4 Cr 2.03-2.24
O  0.3602  0.2547  0.6863  3 Cr 1.93-2.04
Cr  0.0784  0.4823  0.8749  5 O 1.94-2.06
O  0.9820  0.7906  0.1734  3 Cr 2.04-2.12
Cr  0.3223  0.4474  0.2102  5 O 1.93-2.03
Cr  0.8412  0.3067  0.1100  6 O 1.94-2.09
O  0.0693  0.3160  0.7453  4 Cr 1.97-2.14
Cr  0.3071  0.6358  0.9812  6 O 1.92-2.14
O  0.0797  0.6306  0.7232  4 Cr 2.04-2.08
Cr  0.3504  0.0761  0.0490  3 O 1.89-2.08
O  0.2711  0.7127  0.5563  3 Cr 1.91-1.95
O  0.7332  0.6111  0.2836  4 Cr 1.94-2.10
Cr  0.2374  0.7726  0.7328  5 O 1.92-2.11
O  0.7113  0.3221  0.2499  4 Cr 1.95-2.00
Cr  0.0788  0.6122  0.2626  5 O 1.92-2.04
O  0.7325  0.1466  0.0430  3 Cr 1.93-1.94
O  0.1512  0.7727  0.9193  4 Cr 1.95-2.11
O  0.7032  0.8223  0.5137  3 Cr 1.89-1.99
O  0.4652  0.4232  0.3319  3 Cr 1.94-2.13
O  0.7902  0.5227  0.6645  3 Cr 1.95-2.05
O  0.1702  0.5355  0.1069  4 Cr 1.95-2.12
O  0.4453  0.5350  0.0889  3 Cr 1.88-1.99
O  0.5492  0.8663  0.7233  3 Cr 1.84-2.01

Output
* energy: -7.62 eV per atom
* total moment: 96.0 μB/cell
* calculated volume: 918.1 Å³ per cell
* energy of formation from the pure elements: -2.003 eV/atom